No. 1
The following is a DFT calculation (GGA-PBE) of ZrSn after structural relaxation.

Lattice parameters (Å, degrees): 5.5663 5.5814 6.0451 90.00 90.00 90.00
Fractional coordinates of all 8 atoms:
Sn (0.2500, 0.0055, 0.6425)
Zr (0.7500, 0.4955, 0.1284)
Sn (0.2500, 0.5055, 0.3575)
Sn (0.7500, 0.4945, 0.6425)
Zr (0.7500, 0.9955, 0.8716)
Zr (0.2500, 0.5045, 0.8716)
Sn (0.7500, 0.9945, 0.3575)
Zr (0.2500, 0.0045, 0.1284)

Output
- Space-group type: No. 57
- Spin magnetization: 0.0 μB/cell
- ΔE_f: -8.69 kcal/mol of atoms
- Final energy: -6.655 eV/atom
- Calculated volume: 187.81 Å³ per cell

No. 2
The following is a DFT calculation (GGA-PBE) of SrCaLaSbO6 after structural relaxation.

Lattice parameters (Å, degrees): 8.4870 8.4589 8.4879 90.00 90.00 90.00
Fractional coordinates of all 40 atoms:
O (0.7154, 0.9791, 0.1996)
Sr (0.5000, 0.0000, 0.5000)
Ca (0.0000, 0.5000, 0.0000)
O (0.0202, 0.8055, 0.7039)
O (0.1918, 0.7069, 0.9776)
O (0.2129, 0.4800, 0.2971)
Ca (0.5000, 0.5000, 0.5000)
Sb (0.2473, 0.2497, 0.2507)
O (0.9798, 0.8055, 0.2961)
O (0.1918, 0.2931, 0.0224)
Sb (0.2473, 0.7503, 0.7493)
La (0.7522, 0.2497, 0.2497)
O (0.8082, 0.2931, 0.9776)
La (0.7522, 0.7503, 0.7503)
Sr (0.5000, 0.0000, 0.0000)
O (0.7024, 0.2156, 0.5195)
O (0.4786, 0.7053, 0.7870)
O (0.2846, 0.9791, 0.8004)
O (0.2976, 0.2156, 0.4805)
Sb (0.7527, 0.7503, 0.2507)
Sb (0.7527, 0.2497, 0.7493)
O (0.7154, 0.0209, 0.8004)
O (0.5214, 0.2947, 0.7870)
Sr (0.0000, 0.5000, 0.5000)
O (0.0202, 0.1945, 0.2961)
O (0.7871, 0.4800, 0.7029)
O (0.8082, 0.7069, 0.0224)
La (0.2478, 0.2497, 0.7503)
O (0.2129, 0.5200, 0.7029)
O (0.2976, 0.7844, 0.5195)
La (0.2478, 0.7503, 0.2497)
Sr (0.5000, 0.5000, 0.0000)
O (0.9798, 0.1945, 0.7039)
O (0.4786, 0.2947, 0.2130)
O (0.7024, 0.7844, 0.4805)
O (0.2846, 0.0209, 0.1996)
Ca (0.0000, 0.0000, 0.5000)
O (0.7871, 0.5200, 0.2971)
O (0.5214, 0.7053, 0.2130)
Ca (0.0000, 0.0000, 0.0000)

Output
- Space-group type: No. 16
- Spin magnetization: 0.0 μB/cell
- ΔE_f: -68.58 kcal/mol of atoms
- Final energy: -6.806 eV/atom
- Calculated volume: 609.35 Å³ per cell

- What is the calculated volume in the first record?
  187.81 Å³ per cell

- ΔE_f of number 2 (SrCaLaSbO6)?
  -68.58 kcal/mol of atoms